Below is La2ZrNiO6 after structural relaxation, with properties calculated at the PBE+U level.

Computed properties:
space group: Fm-3m
DFT formation energy: -3.14 eV per atom
corrected total energy (MP2020 scheme): -0.6272 Ry per atom
electronic total energy: -7.867 eV per atom

Cell and atoms, written as CIF:
```
data_La2ZrNiO6
_cell_length_a 5.7311
_cell_length_b 5.7311
_cell_length_c 5.7311
_cell_angle_alpha 60.00
_cell_angle_beta 60.00
_cell_angle_gamma 60.00
_space_group_name_H-M_alt 'P 1'
_space_group_IT_number 1
_space_group_name_Hall 'P 1'
loop_
_atom_site_label
_atom_site_fract_x
_atom_site_fract_y
_atom_site_fract_z
_atom_site_occupancy
La1 0.7500 0.7500 0.7500 1
La2 0.2500 0.2500 0.2500 1
Zr1 0.5000 0.5000 0.5000 1
Ni1 0.0000 0.0000 0.0000 1
O1 0.7538 0.7538 0.2462 1
O2 0.2462 0.2462 0.7538 1
O3 0.7538 0.2462 0.7538 1
O4 0.2462 0.7538 0.2462 1
O5 0.2462 0.7538 0.7538 1
O6 0.7538 0.2462 0.2462 1
```